[1]
DFT (GGA-PBE) results for a geometry-optimized NaNdS2 structure.

Computed properties:
* density: 3.9 g/cm3
* VASP energy: -0.395 Ry/atom
* symmetry: I4_1/amd, No. 141

Lattice parameters (Å, degrees): 7.211 7.211 7.211 133.28 133.28 68.21
Positions (direct):
Na  0.250  0.750  0.500
Na  0.500  0.500  0.000
Nd  0.000  0.000  0.000
Nd  0.750  0.250  0.500
S  0.988  0.488  0.500
S  0.762  0.762  0.000
S  0.512  0.012  0.500
S  0.238  0.238  0.000



[2]
DFT (GGA-PBE) results for a geometry-optimized NaNdS2 structure.

Computed properties:
* density: 3.9 g/cm3
* VASP energy: -0.395 Ry/atom
* symmetry: R-3m, No. 166

Lattice parameters (Å, degrees): 4.136 4.136 7.100 73.07 73.07 60.00
Positions (direct):
Na  0.500  0.500  0.500
Nd  0.000  0.000  0.000
S  0.745  0.745  0.766
S  0.255  0.255  0.234



[3]
DFT (GGA-PBE) results for a geometry-optimized NaNdS2 structure.

Computed properties:
* density: 4.0 g/cm3
* VASP energy: -0.388 Ry/atom
* symmetry: P4/mmm, No. 123

Lattice parameters (Å, degrees): 4.124 4.124 5.603 90.00 90.00 90.00
Positions (direct):
Na  0.000  0.000  0.000
Nd  0.500  0.500  0.500
S  0.000  0.000  0.500
S  0.500  0.500  0.000



[4]
DFT (GGA-PBE) results for a geometry-optimized NaNdSe2 structure.

Computed properties:
* density: 4.8 g/cm3
* VASP energy: -0.364 Ry/atom
* symmetry: R-3m, No. 166

Lattice parameters (Å, degrees): 4.280 4.280 7.477 73.37 73.37 60.00
Positions (direct):
Na  0.500  0.500  0.500
Nd  0.000  0.000  0.000
Se  0.745  0.745  0.765
Se  0.255  0.255  0.235



[5]
DFT (GGA-PBE) results for a geometry-optimized NaNd2Se3 structure.

Computed properties:
* density: 5.6 g/cm3
* VASP energy: -0.389 Ry/atom
* symmetry: Immm, No. 71

Lattice parameters (Å, degrees): 7.377 7.377 7.377 146.69 132.06 59.63
Positions (direct):
Na  0.000  0.000  0.000
Nd  0.664  0.664  0.000
Nd  0.336  0.336  0.000
Se  0.833  0.333  0.500
Se  0.500  0.000  0.500
Se  0.167  0.667  0.500



[6]
DFT (GGA-PBE) results for a geometry-optimized NaNdTl2 structure.

Computed properties:
* density: 8.4 g/cm3
* VASP energy: -0.218 Ry/atom
* symmetry: Fm-3m, No. 225

Lattice parameters (Å, degrees): 5.448 5.448 5.448 60.00 60.00 60.00
Positions (direct):
Na  0.500  0.500  0.500
Nd  0.000  0.000  0.000
Tl  0.250  0.250  0.250
Tl  0.750  0.750  0.750



[7]
DFT (GGA-PBE) results for a geometry-optimized Na3Ni structure.

Computed properties:
* density: 2.2 g/cm3
* VASP energy: -0.148 Ry/atom
* symmetry: Fm-3m, No. 225

Lattice parameters (Å, degrees): 5.151 5.151 5.151 60.00 60.00 60.00
Positions (direct):
Na  0.500  0.500  0.500
Na  0.250  0.250  0.250
Na  0.750  0.750  0.750
Ni  0.000  0.000  0.000



[8]
DFT (GGA-PBE) results for a geometry-optimized Na3Ni structure.

Computed properties:
* density: 2.2 g/cm3
* VASP energy: -0.148 Ry/atom
* symmetry: I4/mmm, No. 139

Lattice parameters (Å, degrees): 5.524 5.524 5.524 130.44 130.44 72.71
Positions (direct):
Na  0.750  0.250  0.500
Na  0.250  0.750  0.500
Na  0.500  0.500  0.000
Ni  0.000  0.000  0.000



- What is the density in the fourth record?
  4.8 g/cm3